[1]
Density functional theory data (PBE) for UP3H10BrO8 after structural relaxation. Values from VASP.

Values from the calculation:
As for the symmetry: Pbcm (57). As for the total magnetization: 2.00 μB per formula unit. The calculation puts the MP2020-corrected energy at -5.97 eV per atom.

The structure in Quantum ESPRESSO input format:
```
&SYSTEM
  ibrav = 0, nat = 92, ntyp = 5
/
ATOMIC_SPECIES
U 238.03 U.upf
P 30.97 P.upf
H 1.01 H.upf
Br 79.90 Br.upf
O 16.00 O.upf
CELL_PARAMETERS angstrom
7.5980 0.0000 0.0000
0.0000 10.3772 0.0000
0.0000 0.0000 15.1099
ATOMIC_POSITIONS angstrom
U 1.5062 0.7369 3.7775
U 1.5062 4.4517 11.3324
U 6.0919 5.9255 3.7775
U 6.0919 9.6403 11.3324
P 0.9531 1.3124 9.2827
P 0.9531 1.3124 13.3821
P 0.9531 3.8762 1.7278
P 0.9531 3.8762 5.8272
P 2.6212 7.4826 3.7775
P 2.6212 8.0832 11.3324
P 4.9769 2.2940 3.7775
P 4.9769 2.8946 11.3324
P 6.6449 6.5010 9.2827
P 6.6449 6.5010 13.3821
P 6.6449 9.0648 1.7278
P 6.6449 9.0648 5.8272
H 0.6520 1.4060 7.8969
H 0.6520 1.4060 14.7679
H 0.6520 3.7826 0.3420
H 0.6520 3.7826 7.2130
H 1.9965 6.9085 2.6483
H 1.9965 6.9085 4.9066
H 1.9965 8.6573 10.2032
H 1.9965 8.6573 12.4616
H 2.3042 0.8815 9.3258
H 2.3042 0.8815 13.3390
H 2.3042 4.3071 1.7709
H 2.3042 4.3071 5.7840
H 2.7005 5.6760 8.6317
H 2.7005 5.6760 14.0331
H 2.7005 9.8898 1.0768
H 2.7005 9.8898 6.4782
H 3.2357 1.0262 1.1111
H 3.2357 1.0262 6.4438
H 3.2357 4.1624 8.6660
H 3.2357 4.1624 13.9988
H 4.3624 6.2148 1.1111
H 4.3624 6.2148 6.4438
H 4.3624 9.3510 8.6660
H 4.3624 9.3510 13.9988
H 4.8975 0.4874 8.6317
H 4.8975 0.4874 14.0331
H 4.8975 4.7012 1.0768
H 4.8975 4.7012 6.4782
H 5.2938 6.0701 9.3258
H 5.2938 6.0701 13.3390
H 5.2938 9.4957 1.7709
H 5.2938 9.4957 5.7840
H 5.6015 1.7199 2.6483
H 5.6015 1.7199 4.9066
H 5.6015 3.4687 10.2032
H 5.6015 3.4687 12.4616
H 6.9461 6.5946 7.8969
H 6.9461 6.5946 14.7679
H 6.9461 8.9712 0.3420
H 6.9461 8.9712 7.2130
Br 3.1032 7.7829 0.0000
Br 3.1032 7.7829 7.5549
Br 4.4948 2.5943 0.0000
Br 4.4948 2.5943 7.5549
O 0.0827 0.2240 9.8976
O 0.0827 0.2240 12.7672
O 0.0827 4.9646 2.3427
O 0.0827 4.9646 5.2122
O 0.8692 2.4843 2.3479
O 0.8692 2.4843 5.2070
O 0.8692 2.7044 9.9028
O 0.8692 2.7044 12.7620
O 2.3241 6.5844 11.3324
O 2.3241 8.9814 3.7775
O 2.6883 0.3512 1.5895
O 2.6883 0.3512 5.9654
O 2.6883 4.8374 9.1445
O 2.6883 4.8374 13.5203
O 3.4919 1.9160 3.7775
O 3.4919 3.2726 11.3324
O 4.1061 7.1046 3.7775
O 4.1061 8.4612 11.3324
O 4.9098 5.5398 1.5895
O 4.9098 5.5398 5.9654
O 4.9098 10.0260 9.1445
O 4.9098 10.0260 13.5203
O 5.2739 1.3958 11.3324
O 5.2739 3.7928 3.7775
O 6.7289 7.6729 2.3479
O 6.7289 7.6729 5.2070
O 6.7289 7.8930 9.9028
O 6.7289 7.8930 12.7620
O 7.5153 5.4126 9.8976
O 7.5153 5.4126 12.7672
O 7.5153 10.1532 2.3427
O 7.5153 10.1532 5.2122
```

***

[2]
Density functional theory data (PBE) for Li3Ti2P3O12 after structural relaxation. Values from VASP.

Values from the calculation:
As for the symmetry: Ia-3d (230). As for the total magnetization: 2.00 μB per formula unit. The calculation puts the MP2020-corrected energy at -7.69 eV per atom.

The structure in Quantum ESPRESSO input format:
```
&SYSTEM
  ibrav = 0, nat = 80, ntyp = 4
/
ATOMIC_SPECIES
Li 6.94 Li.upf
Ti 47.87 Ti.upf
P 30.97 P.upf
O 16.00 O.upf
CELL_PARAMETERS angstrom
-5.9614 5.9614 5.9614
5.9614 -5.9614 5.9614
5.9614 5.9614 -5.9614
ATOMIC_POSITIONS angstrom
Li 2.9807 1.4903 0.0000
Li 5.9614 2.9807 -1.4903
Li 1.4903 0.0000 2.9807
Li 7.4517 0.0000 2.9807
Li 0.0000 2.9807 1.4903
Li 2.9807 -1.4903 5.9614
Li 2.9807 7.4517 0.0000
Li 5.9614 2.9807 4.4710
Li -1.4903 5.9614 2.9807
Li 4.4710 5.9614 2.9807
Li 0.0000 2.9807 7.4517
Li 2.9807 4.4710 5.9614
Ti 0.0000 0.0000 0.0000
Ti 2.9807 2.9807 -2.9807
Ti 2.9807 -2.9807 2.9807
Ti 5.9614 0.0000 0.0000
Ti -2.9807 2.9807 2.9807
Ti 0.0000 5.9614 0.0000
Ti 0.0000 0.0000 5.9614
Ti 2.9807 2.9807 2.9807
P 8.9421 1.4903 0.0000
P 5.9614 -2.9807 4.4710
P 4.4710 5.9614 -2.9807
P 4.4710 0.0000 2.9807
P 2.9807 4.4710 0.0000
P 5.9614 2.9807 1.4903
P 0.0000 2.9807 4.4710
P 2.9807 1.4903 5.9614
P 1.4903 5.9614 2.9807
P 1.4903 0.0000 8.9421
P 0.0000 8.9421 1.4903
P -2.9807 4.4710 5.9614
O 1.8979 -0.5134 0.5495
O 7.0441 3.5302 -3.4941
O 7.8593 0.5134 0.5495
O 7.0441 -2.4312 3.4941
O 5.4480 -0.5495 1.8979
O 9.4555 -1.0828 2.4312
O 0.5495 1.8979 -0.5134
O 8.3926 2.4673 -1.0828
O 3.5302 3.4941 -1.0828
O 5.4119 1.8979 0.5134
O -0.5134 0.5495 1.8979
O 3.4941 -1.0828 3.5302
O 5.4480 5.4119 -1.8979
O 3.4941 1.0828 2.4312
O 3.5302 -3.4941 7.0441
O 5.4119 -1.8979 5.4480
O 2.4312 3.4941 1.0828
O 6.5109 4.0634 0.5134
O 3.4941 7.0441 -2.4312
O 5.4480 0.5495 4.0634
O 1.8979 5.4480 -0.5495
O 7.0441 2.4312 2.4673
O 1.0828 2.4312 3.4941
O 1.8979 0.5134 5.4119
O 4.0634 5.4480 0.5495
O 4.8786 3.5302 2.4673
O -1.0828 3.5302 3.4941
O 4.0634 0.5134 6.5109
O 0.5134 5.4119 1.8979
O 2.4673 -1.0828 8.3926
O -0.5495 1.8979 5.4480
O 3.5302 2.4673 4.8786
O 0.5495 7.8593 0.5134
O 2.4312 9.4555 -1.0828
O 2.4673 4.8786 3.5302
O 0.5134 0.5495 7.8593
O 2.4673 7.0441 2.4312
O 6.4748 5.4119 4.0634
O 0.5495 4.0634 5.4480
O 2.4312 2.4673 7.0441
O -2.4312 3.4941 7.0441
O 5.4119 4.0634 6.4748
O -3.4941 7.0441 3.5302
O 0.5134 6.5109 4.0634
O -1.0828 8.3926 2.4673
O -1.8979 5.4480 5.4119
O -1.0828 2.4312 9.4555
O 4.0634 6.4748 5.4119
```

***

[3]
Density functional theory data (PBE) for NaEuGeO4 after structural relaxation. Values from VASP.

Values from the calculation:
As for the symmetry: Pnma (62). As for the total magnetization: 6.00 μB per formula unit. The calculation puts the MP2020-corrected energy at -7.70 eV per atom.

The structure in Quantum ESPRESSO input format:
```
&SYSTEM
  ibrav = 0, nat = 28, ntyp = 4
/
ATOMIC_SPECIES
Na 22.99 Na.upf
Eu 151.96 Eu.upf
Ge 72.64 Ge.upf
O 16.00 O.upf
CELL_PARAMETERS angstrom
11.7634 0.0000 0.0000
0.0000 6.6687 0.0000
0.0000 0.0000 5.3795
ATOMIC_POSITIONS angstrom
Na 0.0000 0.0000 0.0000
Na 0.0000 3.3343 0.0000
Na 5.8817 0.0000 2.6898
Na 5.8817 3.3343 2.6898
Eu 2.6163 1.6672 2.6822
Eu 3.2654 5.0015 5.3720
Eu 8.4980 1.6672 0.0075
Eu 9.1471 5.0015 2.6973
Ge 1.1182 5.0015 2.3784
Ge 4.7635 1.6672 5.0682
Ge 6.9999 5.0015 0.3114
Ge 10.6452 1.6672 3.0011
O 0.5245 1.6672 3.6579
O 1.2526 5.0015 4.1238
O 1.9885 3.6410 1.5650
O 1.9885 6.3620 1.5650
O 3.8932 0.3067 4.2547
O 3.8932 3.0276 4.2547
O 4.6291 1.6672 1.4340
O 5.3572 5.0015 0.9681
O 6.4063 1.6672 4.4114
O 7.1343 5.0015 3.9455
O 7.8702 3.6410 1.1248
O 7.8702 6.3620 1.1248
O 9.7750 0.3067 3.8146
O 9.7750 3.0276 3.8146
O 10.5108 1.6672 1.2558
O 11.2389 5.0015 1.7217
```

***

[4]
Density functional theory data (PBE) for YGa2 after structural relaxation. Values from VASP.

Values from the calculation:
As for the symmetry: P6/mmm (191).

The structure in Quantum ESPRESSO input format:
```
&SYSTEM
  ibrav = 0, nat = 3, ntyp = 2
/
ATOMIC_SPECIES
Y 88.91 Y.upf
Ga 69.72 Ga.upf
CELL_PARAMETERS angstrom
4.2175 0.0000 0.0000
-2.1087 3.6524 0.0000
0.0000 0.0000 4.1340
ATOMIC_POSITIONS angstrom
Y 0.0000 0.0000 0.0000
Ga 0.0000 2.4350 2.0670
Ga 2.1087 1.2175 2.0670
```

***

[5]
Density functional theory data (PBE) for Mg14AlGa after structural relaxation. Values from VASP.

Values from the calculation:
As for the symmetry: P-6m2 (187). As for the total magnetization: 0.00 μB per formula unit.

The structure in Quantum ESPRESSO input format:
```
&SYSTEM
  ibrav = 0, nat = 16, ntyp = 3
/
ATOMIC_SPECIES
Mg 24.30 Mg.upf
Al 26.98 Al.upf
Ga 69.72 Ga.upf
CELL_PARAMETERS angstrom
6.2720 0.0000 0.0000
-3.1360 5.4317 0.0000
0.0000 0.0000 10.3034
ATOMIC_POSITIONS angstrom
Mg 0.0000 0.0000 2.5745
Mg 0.0000 0.0000 7.7290
Mg -1.5574 2.7220 2.5732
Mg -1.5574 2.7220 7.7302
Mg 1.5684 0.9055 0.0000
Mg 1.5685 0.9056 5.1517
Mg 1.5574 2.7220 2.5732
Mg 1.5574 2.7220 7.7302
Mg 0.0000 5.4195 2.5732
Mg 0.0000 5.4195 7.7302
Mg 4.7036 0.9055 0.0000
Mg 4.7035 0.9056 5.1517
Mg 3.1360 3.6207 0.0000
Mg 3.1360 3.6205 5.1517
Al 0.0000 3.6211 0.0000
Ga 0.0000 3.6211 5.1517
```

***

[6]
Density functional theory data (PBE) for Rb6Ga10Se20O61 after structural relaxation. Values from VASP.

Values from the calculation:
As for the symmetry: P1 (1). As for the total magnetization: 0.06 μB per formula unit. The calculation puts the MP2020-corrected energy at -5.73 eV per atom.

The structure in Quantum ESPRESSO input format:
```
&SYSTEM
  ibrav = 0, nat = 97, ntyp = 4
/
ATOMIC_SPECIES
Rb 85.47 Rb.upf
Ga 69.72 Ga.upf
Se 78.96 Se.upf
O 16.00 O.upf
CELL_PARAMETERS angstrom
10.9904 0.0000 0.0000
3.8583 12.1922 0.0000
1.1141 0.3900 12.9001
ATOMIC_POSITIONS angstrom
Rb 0.0000 0.0000 0.0000
Rb 0.8437 0.3233 8.2722
Rb 5.2601 5.7464 9.8861
Rb 7.4898 11.3905 3.5195
Rb 8.1965 1.1063 4.7297
Rb 11.5456 7.1714 11.2694
Ga 3.9208 9.3175 10.5583
Ga 4.7006 2.4700 7.1344
Ga 6.6369 8.5704 7.0524
Ga 4.1621 2.2076 0.6280
Ga 6.2471 8.2918 0.5233
Ga 9.4426 4.2416 7.7470
Ga 11.5278 10.3151 7.6324
Ga 9.0523 3.9589 1.1903
Ga 10.9870 10.0546 1.1213
Ga 12.8853 3.5950 10.6003
Se 1.3461 4.0311 0.7848
Se 3.3552 8.4965 7.4725
Se 2.9160 8.2692 0.8137
Se 5.7787 8.1082 3.8410
Se 4.5979 1.9556 10.4124
Se 4.5078 2.9744 3.8056
Se 7.1361 9.2448 10.2498
Se 5.9607 5.0259 0.5591
Se 8.4961 11.3746 6.9897
Se 6.5626 5.2293 6.4239
Se 9.2567 11.4974 12.7638
Se 7.5478 1.4189 8.3915
Se 9.1268 7.2989 1.8330
Se 7.1922 1.1494 1.2706
Se 9.7281 7.5006 7.6980
Se 9.6691 3.6679 10.9077
Se 11.1917 9.5530 4.4553
Se 12.2072 10.9597 10.7451
Se 9.8949 4.4172 4.4209
Se 12.7762 4.2584 7.4452
O 2.4353 4.7890 11.9388
O 3.3768 8.1248 9.2187
O 3.6330 8.2051 12.0304
O 4.1264 8.4009 3.8324
O 2.7353 2.8570 7.1460
O 4.8396 9.3192 7.2859
O 2.2686 2.6032 0.9602
O 2.8310 1.9681 10.5286
O 4.3985 9.1089 0.6223
O 5.6013 10.1171 10.3650
O 5.8396 6.7694 6.7999
O 4.5848 4.1388 1.0936
O 5.0849 3.1106 11.5912
O 5.0958 4.3440 6.6896
O 7.1104 10.4631 7.4632
O 6.5238 9.0535 5.0655
O 4.9311 2.9723 9.0662
O 3.4580 0.3439 0.3924
O 4.1251 0.6604 7.7388
O 5.4970 6.5635 1.1839
O 6.5328 8.8412 2.4675
O 7.8529 10.4907 12.7957
O 4.5768 1.8766 5.1749
O 7.0514 8.0924 11.5364
O 6.8581 8.0923 8.9961
O 4.4379 1.7600 2.5821
O 6.2096 3.3206 3.8980
O 7.5343 4.9190 7.8309
O 6.0189 1.7188 0.1315
O 8.5070 7.9981 6.5719
O 6.6400 1.8651 6.9901
O 9.0510 10.6588 1.2662
O 7.1852 4.5256 1.6847
O 9.6728 10.8073 8.1279
O 8.1565 7.6035 0.4264
O 9.4910 9.1980 4.3560
O 11.2428 10.7663 5.6812
O 9.9474 4.8234 12.1582
O 9.7548 4.8236 9.6243
O 11.0999 10.6489 3.0848
O 8.9527 2.4262 8.3547
O 9.1539 3.6817 5.7944
O 10.1885 5.9603 7.0697
O 11.5644 11.8659 0.5188
O 12.2317 12.1825 7.8676
O 11.8732 9.9429 12.0910
O 9.1673 3.4746 3.1892
O 8.5803 2.0632 0.7997
O 11.7184 9.8037 9.5671
O 10.5960 8.1792 1.5653
O 11.1061 8.3842 7.1624
O 9.8495 5.7539 1.4648
O 11.2019 2.7973 10.7924
O 11.2899 3.4175 7.6257
O 13.9730 10.9459 10.6288
O 13.4212 9.9252 7.3020
O 10.8509 3.2076 0.9777
O 12.9529 9.6720 1.1100
O 11.5486 4.2336 4.4288
O 14.5997 11.0545 3.9254
O 13.1661 4.7095 9.1298
```

***

[7]
Density functional theory data (PBE) for K3Li after structural relaxation. Values from VASP.

Values from the calculation:
As for the symmetry: I4/mmm (139). As for the total magnetization: 0.01 μB per formula unit.

The structure in Quantum ESPRESSO input format:
```
&SYSTEM
  ibrav = 0, nat = 4, ntyp = 2
/
ATOMIC_SPECIES
K 39.10 K.upf
Li 6.94 Li.upf
CELL_PARAMETERS angstrom
-3.0507 3.0507 6.2371
3.0507 -3.0507 6.2371
3.0507 3.0507 -6.2371
ATOMIC_POSITIONS angstrom
K 0.0000 0.0000 0.0000
K 3.0507 0.0000 3.1186
K 0.0000 3.0507 3.1186
Li 0.0000 0.0000 6.2371
```

***

| no. | DFT formation energy (eV/f.u.) | V (Å³ per cell) |
| --- | --- | --- |
| 1 | -34.6 | 1191 |
| 2 | -56.7 | 847 |
| 3 | -17.9 | 422 |
| 4 | -2.0 | 64 |
| 5 | -0.4 | 351 |
| 6 | -148.4 | 1729 |
| 7 | 0.5 | 232 |